This record from the Materials Project database describes a geometry-optimized Y12Re5C15 structure. The functional is GGA-PBE.

Output
As for the formation energy: -11.50 eV per formula unit.

a = 5.117 Å, b = 10.770 Å, c = 10.770 Å
α = 120.00°, β = 90.00°, γ = 90.00°
Atoms (fractional coordinates):
Y 0.000 0.185 0.729
Y 0.000 0.271 0.456
Y 0.000 0.544 0.815
Y 0.500 0.206 0.206
Y 0.500 0.794 0.000
Y 0.500 0.576 0.576
Y 0.000 0.456 0.271
Y 0.000 0.729 0.185
Y 0.000 0.815 0.544
Y 0.500 0.000 0.424
Y 0.500 0.424 0.000
Y 0.500 0.000 0.794
C 0.000 0.667 0.667
C 0.000 0.214 0.214
C 0.000 0.000 0.459
C 0.500 0.187 0.718
C 0.000 0.333 0.000
C 0.000 0.786 0.000
C 0.500 0.531 0.813
C 0.500 0.813 0.531
C 0.500 0.469 0.282
C 0.500 0.718 0.187
C 0.000 0.000 0.333
C 0.000 0.541 0.541
C 0.000 0.459 0.000
C 0.500 0.282 0.469
C 0.000 0.000 0.786
Re 0.000 0.152 0.000
Re 0.000 0.000 0.152
Re 0.500 0.333 0.667
Re 0.500 0.667 0.333
Re 0.000 0.848 0.848


This record from the Materials Project database describes a geometry-optimized K4ThC8O20 structure. The functional is GGA-PBE.

Output
As for the formation energy: -46.18 eV per formula unit.

a = 9.425 Å, b = 10.577 Å, c = 12.703 Å
α = 111.43°, β = 105.89°, γ = 98.22°
Atoms (fractional coordinates):
O 0.702 0.161 0.655
O 0.826 0.596 0.352
O 0.245 0.274 0.495
O 0.742 0.532 0.958
O 0.195 0.032 0.082
O 0.755 0.726 0.505
O 0.961 0.972 0.730
O 0.500 0.678 0.567
O 0.954 0.134 0.104
O 0.324 0.494 0.403
O 0.880 0.309 0.455
O 0.174 0.404 0.648
O 0.516 0.097 0.903
O 0.429 0.282 0.197
O 0.422 0.186 0.647
O 0.484 0.903 0.097
O 0.975 0.676 0.657
O 0.046 0.866 0.896
O 0.025 0.324 0.343
O 0.492 0.636 0.923
O 0.571 0.718 0.803
O 0.508 0.364 0.077
O 0.980 0.809 0.263
O 0.329 0.037 0.314
O 0.622 0.950 0.161
O 0.378 0.050 0.839
O 0.039 0.028 0.270
O 0.825 0.633 0.847
O 0.258 0.468 0.042
O 0.578 0.814 0.353
O 0.298 0.839 0.345
O 0.671 0.963 0.686
O 0.020 0.191 0.737
O 0.130 0.613 0.962
O 0.870 0.387 0.038
O 0.805 0.968 0.918
O 0.120 0.691 0.545
O 0.676 0.506 0.597
O 0.500 0.322 0.433
O 0.175 0.367 0.153
C 0.006 0.324 0.439
C 0.994 0.676 0.561
C 0.416 0.344 0.127
C 0.550 0.451 0.509
C 0.450 0.549 0.491
C 0.584 0.656 0.873
C 0.268 0.400 0.104
C 0.071 0.918 0.279
C 0.845 0.663 0.461
C 0.155 0.337 0.539
C 0.732 0.600 0.896
C 0.069 0.970 0.993
C 0.931 0.030 0.007
C 0.751 0.070 0.684
C 0.929 0.082 0.721
C 0.249 0.930 0.316
K 0.086 0.589 0.287
K 0.333 0.355 0.840
K 0.914 0.411 0.713
K 0.636 0.108 0.423
K 0.259 0.729 0.817
K 0.741 0.271 0.183
K 0.364 0.892 0.577
K 0.667 0.645 0.160
Th 0.776 0.774 0.722
Th 0.224 0.226 0.278


This record from the Materials Project database describes a geometry-optimized Si structure. The functional is GGA-PBE.

Output
As for the formation energy: 0.10 eV per formula unit.

a = 5.110 Å, b = 5.110 Å, c = 5.110 Å
α = 98.21°, β = 98.21°, γ = 135.59°
Atoms (fractional coordinates):
Si 0.179 0.821 0.000
Si 0.821 0.179 0.000
Si 0.821 0.821 0.643
Si 0.179 0.179 0.357


This record from the Materials Project database describes a geometry-optimized CuN2Cl4 structure. The functional is GGA-PBE.

Output
As for the formation energy: 7.32 eV per formula unit.

a = 8.158 Å, b = 8.158 Å, c = 7.616 Å
α = 90.00°, β = 90.00°, γ = 124.22°
Atoms (fractional coordinates):
Cu 0.000 0.000 0.000
Cu 0.500 0.500 0.500
Cl 0.851 0.149 0.000
Cl 0.149 0.851 0.000
Cl 0.351 0.649 0.500
Cl 0.699 0.699 0.700
Cl 0.301 0.301 0.300
Cl 0.801 0.801 0.200
Cl 0.199 0.199 0.800
Cl 0.649 0.351 0.500
N 0.356 0.644 0.000
N 0.144 0.856 0.500
N 0.644 0.356 0.000
N 0.856 0.144 0.500


This record from the Materials Project database describes a geometry-optimized HfCoSn structure. The functional is GGA-PBE.

Output
As for the formation energy: -1.31 eV per formula unit.

a = 7.110 Å, b = 7.110 Å, c = 7.164 Å
α = 90.00°, β = 90.00°, γ = 120.00°
Atoms (fractional coordinates):
Hf 0.394 0.992 0.750
Hf 0.008 0.402 0.750
Hf 0.598 0.606 0.750
Hf 0.992 0.394 0.250
Hf 0.606 0.598 0.250
Hf 0.402 0.008 0.250
Co 0.333 0.667 0.466
Co 0.667 0.333 0.534
Co 0.000 0.000 0.750
Co 0.333 0.667 0.034
Co 0.667 0.333 0.966
Co 0.000 0.000 0.250
Sn 0.267 0.267 0.500
Sn 0.733 0.000 0.500
Sn 0.000 0.733 0.500
Sn 0.000 0.733 0.000
Sn 0.733 0.000 0.000
Sn 0.267 0.267 0.000


This record from the Materials Project database describes a geometry-optimized ZrCrCuS4 structure. The functional is GGA-PBE.

Output
As for the formation energy: -8.36 eV per formula unit.

a = 7.155 Å, b = 6.082 Å, c = 5.954 Å
α = 92.72°, β = 90.00°, γ = 90.00°
Atoms (fractional coordinates):
S 0.250 0.159 0.738
S 0.000 0.309 0.253
S 0.750 0.841 0.262
S 0.250 0.841 0.262
S 0.750 0.159 0.738
S 0.500 0.691 0.747
S 0.000 0.691 0.747
S 0.500 0.309 0.253
Zr 0.750 0.500 0.500
Zr 0.250 0.500 0.500
Cr 0.000 0.000 0.500
Cr 0.500 0.000 0.500
Cu 0.500 0.000 0.000
Cu 0.000 0.000 0.000


This record from the Materials Project database describes a geometry-optimized Pu2SnPt2 structure. The functional is GGA-PBE.

Output
As for the formation energy: -3.86 eV per formula unit.

a = 7.689 Å, b = 7.689 Å, c = 3.654 Å
α = 90.00°, β = 90.00°, γ = 90.00°
Atoms (fractional coordinates):
Pu 0.329 0.829 0.500
Pu 0.171 0.329 0.500
Pu 0.829 0.671 0.500
Pu 0.671 0.171 0.500
Pt 0.631 0.869 0.000
Pt 0.131 0.631 0.000
Pt 0.369 0.131 0.000
Pt 0.869 0.369 0.000
Sn 0.500 0.500 0.000
Sn 0.000 0.000 0.000


This record from the Materials Project database describes a geometry-optimized Ag3Bi14Br21 structure. The functional is GGA-PBE.

Output
As for the formation energy: -28.61 eV per formula unit.

a = 15.003 Å, b = 13.023 Å, c = 14.185 Å
α = 72.12°, β = 90.00°, γ = 90.00°
Atoms (fractional coordinates):
Ag 0.348 0.450 0.390
Ag 0.652 0.450 0.390
Ag 0.337 0.134 0.378
Ag 0.159 0.541 0.618
Ag 0.841 0.541 0.618
Ag 0.663 0.134 0.378
Br 0.278 0.665 0.262
Br 0.863 0.094 0.990
Br 0.778 0.998 0.748
Br 0.500 0.658 0.749
Br 0.358 0.588 0.025
Br 0.000 0.178 0.698
Br 0.222 0.683 0.752
Br 0.251 0.326 0.243
Br 0.362 0.896 0.020
Br 0.500 0.820 0.302
Br 0.749 0.326 0.243
Br 0.858 0.424 0.462
Br 0.642 0.588 0.025
Br 0.000 0.295 0.267
Br 0.000 0.531 0.706
Br 0.361 0.908 0.536
Br 0.270 0.991 0.255
Br 0.137 0.430 0.969
Br 0.000 0.851 0.694
Br 0.142 0.424 0.462
Br 0.647 0.242 0.528
Br 0.722 0.665 0.262
Br 0.778 0.683 0.752
Br 0.222 0.998 0.748
Br 0.781 0.327 0.742
Br 0.639 0.908 0.536
Br 0.347 0.575 0.536
Br 0.137 0.094 0.990
Br 0.855 0.091 0.465
Br 0.730 0.991 0.255
Br 0.219 0.327 0.742
Br 0.859 0.764 0.465
Br 0.500 0.015 0.748
Br 0.145 0.091 0.465
Br 0.141 0.764 0.465
Br 0.000 0.014 0.255
Br 0.500 0.157 0.287
Br 0.500 0.472 0.288
Br 0.863 0.430 0.969
Br 0.653 0.575 0.536
Br 0.638 0.896 0.020
Br 0.353 0.242 0.528
Bi 0.398 0.458 0.859
Bi 0.603 0.145 0.857
Bi 0.825 0.755 0.970
Bi 0.129 0.189 0.176
Bi 0.000 0.900 0.931
Bi 0.895 0.555 0.137
Bi 0.500 0.741 0.025
Bi 0.500 0.346 0.720
Bi 0.500 0.362 0.087
Bi 0.000 0.265 0.979
Bi 0.825 0.226 0.599
Bi 0.661 0.245 0.027
Bi 0.871 0.189 0.176
Bi 0.175 0.755 0.970
Bi 0.397 0.145 0.857
Bi 0.185 0.881 0.613
Bi 0.000 0.652 0.283
Bi 0.107 0.844 0.140
Bi 0.676 0.779 0.393
Bi 0.324 0.779 0.393
Bi 0.602 0.458 0.859
Bi 0.893 0.844 0.140
Bi 0.339 0.245 0.027
Bi 0.500 0.088 0.072
Bi 0.000 0.640 0.920
Bi 0.815 0.881 0.613
Bi 0.175 0.226 0.599
Bi 0.105 0.555 0.137